## Li6MnV3P6O24 (GGA+U)

Data for an optimized crystal structure of Li6MnV3P6O24.

a b c (Å): 9.8339 9.7483 9.7442
angles (deg): 85.79 94.32 95.12
Fractional coordinates of all 80 atoms:
O1 0.8209 0.0907 0.4343
O2 0.9061 0.4065 0.4465
O3 0.9553 0.1175 0.6629
O4 0.6793 0.4070 0.5616
O5 0.4035 0.1929 0.6563
O6 0.2847 0.9101 0.8128
O7 0.8047 0.7061 0.8458
O8 0.7011 0.8104 0.1577
O9 0.2101 0.9111 0.0604
O10 0.1639 0.1063 0.8745
O11 0.9073 0.2014 0.9421
O12 0.0997 0.6949 0.3371
O13 0.3918 0.1242 0.0787
O14 0.8695 0.0322 0.1425
O15 0.1839 0.3156 0.6696
O16 0.1097 0.9591 0.3242
O17 0.8196 0.8940 0.6203
O18 0.8658 0.6076 0.5816
O19 0.5995 0.5360 0.8567
O20 0.6118 0.0737 0.2072
O21 0.1043 0.1595 0.1239
O22 0.3223 0.3701 0.1452
O23 0.5956 0.3055 0.0806
O24 0.3137 0.5912 0.9376
O25 0.4071 0.9124 0.5521
O26 0.6241 0.6732 0.6368
O27 0.0945 0.8290 0.5536
O28 0.4055 0.6807 0.4412
O29 0.1899 0.3993 0.3537
O30 0.5406 0.5987 0.1304
O31 0.0990 0.6078 0.7888
O32 0.3672 0.8911 0.2893
O33 0.5992 0.0938 0.9423
O34 0.8921 0.3736 0.7116
O35 0.8021 0.5795 0.1548
O36 0.6940 0.1069 0.6542
O37 0.9149 0.2885 0.1878
O38 0.5740 0.8007 0.8400
O39 0.6690 0.6219 0.3565
O40 0.8907 0.8257 0.3728
O41 0.4538 0.4000 0.3745
O42 0.6021 0.8704 0.4126
O43 0.4012 0.4586 0.6318
O44 0.1260 0.3868 0.9280
O45 0.3132 0.1791 0.3379
O46 0.0320 0.8711 0.8719
O47 0.3732 0.3268 0.8641
O48 0.0939 0.5989 0.0554
Mn1 0.9727 0.7481 0.7178
Mn2 0.4739 0.4674 0.9966
Li1 0.5069 0.0131 0.7573
Li2 0.6996 0.9215 0.9768
Li3 0.5610 0.2212 0.5356
Li4 0.9225 0.6951 0.0149
Li5 0.7344 0.2374 0.8193
Li6 0.3778 0.7467 0.8128
Li7 0.9968 0.2601 0.3897
Li8 0.2175 0.5635 0.4707
Li9 0.2314 0.7322 0.1753
Li10 0.7527 0.3780 0.1931
Li11 0.2540 0.9896 0.6113
Li12 0.0158 0.5090 0.2398
V1 0.2496 0.0360 0.2125
V2 0.7484 0.9598 0.2884
V3 0.7448 0.7496 0.4956
V4 0.5362 0.5361 0.5001
V5 0.2459 0.2449 0.0022
V6 0.0359 0.2512 0.7876
P1 0.9436 0.1728 0.0992
P2 0.4405 0.8415 0.4278
P3 0.1735 0.9440 0.9037
P4 0.1579 0.5523 0.9284
P5 0.6522 0.6802 0.8025
P6 0.3163 0.3389 0.3057
P7 0.0534 0.8225 0.3991
P8 0.8395 0.4449 0.5719
P9 0.3420 0.3204 0.7006
P10 0.8187 0.0546 0.5936
P11 0.5542 0.1500 0.0741
P12 0.6798 0.6521 0.1938

Values from the calculation:
The energy relative to the lowest polymorph listed for this composition comes out at 198 kJ/mol of formula units.